(1)
Compound: Mg2CrN3
Source: the Materials Project database
Functional: meta-GGA r2SCAN
Structure: optimized geometry

a = 5.7614 Å, b = 5.8002 Å, c = 4.8944 Å
α = 90.00°, β = 90.00°, γ = 120.22°
Closest atoms and distances in Å follow each position.
Atoms (fractional coordinates):
N1 0.0000 0.6284 0.8503  2 Cr 1.84-1.85
N2 0.7010 0.0346 0.9040  1 Cr 1.74
Mg1 0.3240 0.9915 0.9679  4 N 2.07-2.14
N3 0.7010 0.6664 0.4040  1 Cr 1.74
Mg2 0.6759 0.6675 0.9679  4 N 2.07-2.14
N4 0.2990 0.3336 0.9040  1 Cr 1.74
N5 0.0000 0.3716 0.3503  2 Cr 1.84-1.85
Cr1 0.0000 0.6721 0.4779  4 N 1.74-1.85
Mg3 0.3241 0.3325 0.4679  4 N 2.07-2.14
Cr2 0.0000 0.3279 0.9778  4 N 1.74-1.85
N6 0.2990 0.9654 0.4040  1 Cr 1.74
Mg4 0.6759 0.0085 0.4679  4 N 2.07-2.14

- space-group type = No. 36
- ρ (g cm⁻³) = 3.4



(2)
Compound: MgZn5
Source: the Materials Project database
Functional: meta-GGA r2SCAN
Structure: optimized geometry

a = 7.3145 Å, b = 7.3145 Å, c = 4.4862 Å
α = 90.00°, β = 90.00°, γ = 157.71°
Closest atoms and distances in Å follow each position.
Atoms (fractional coordinates):
Zn1 0.3384 0.6616 0.0000  8 Zn 2.72-2.88, 4 Mg 2.79
Zn2 0.0000 0.0000 0.0000  12 Zn 2.71-2.83
Zn3 0.4472 0.5528 0.5000  10 Zn 2.68-2.83, 2 Mg 2.81
Zn4 0.1059 0.8941 0.5000  10 Zn 2.68-2.83, 2 Mg 2.85
Zn5 0.6638 0.3362 0.0000  10 Zn 2.74-2.88, 2 Mg 2.78
Mg1 0.7780 0.2220 0.5000  10 Zn 2.78-2.85, 2 Mg 2.83

- space-group type = No. 38
- ρ (g cm⁻³) = 6.4



(3)
Compound: PuNi
Source: the Materials Project database
Functional: meta-GGA r2SCAN
Structure: optimized geometry

a = 5.4761 Å, b = 5.4761 Å, c = 4.1794 Å
α = 90.00°, β = 90.00°, γ = 141.73°
Closest atoms and distances in Å follow each position.
Atoms (fractional coordinates):
Pu1 0.1462 0.8538 0.7500  7 Ni 2.86-2.93
Pu2 0.8538 0.1462 0.2500  7 Ni 2.86-2.93
Ni1 0.5710 0.4290 0.2500  2 Ni 2.55
Ni2 0.4290 0.5710 0.7500  2 Ni 2.55

- space-group type = No. 63
- ρ (g cm⁻³) = 13.0



no.,volume (Å³/f.u.),energy relative to the elements (eV per atom)
1,70.7,-0.87
2,91.0,0.01
3,38.8,-0.26